# MgV4Cu3O14, optimized geometry, DFT PBE with a Hubbard U
# Energy in eV/atom: -6.71
# Calculated formation energy in eV per atom: -2.028
data_MgV4Cu3O14
_cell_length_a 5.634
_cell_length_b 5.689
_cell_length_c 10.265
_cell_angle_alpha 104.01
_cell_angle_beta 103.42
_cell_angle_gamma 92.21
_space_group_name_H-M_alt 'P 1'
_space_group_IT_number 1
_space_group_name_Hall 'P 1'
loop_
_atom_site_label
_atom_site_fract_x
_atom_site_fract_y
_atom_site_fract_z
Mg1 0.000 0.000 0.000
V1 0.040 0.735 0.266
V2 0.139 0.735 0.690
V3 0.582 0.287 0.190
V4 0.587 0.191 0.764
Cu1 0.204 0.503 0.963
Cu2 0.357 0.361 0.465
Cu3 0.825 0.115 0.491
O1 0.050 0.023 0.373
O2 0.067 0.722 0.848
O3 0.114 0.748 0.110
O4 0.127 0.448 0.580
O5 0.236 0.568 0.348
O6 0.288 0.266 0.078
O7 0.418 0.388 0.847
O8 0.445 0.884 0.730
O9 0.577 0.221 0.349
O10 0.599 0.252 0.602
O11 0.730 0.588 0.226
O12 0.746 0.087 0.109
O13 0.873 0.211 0.870
O14 0.942 0.903 0.608

---

# CoSeClO6, optimized geometry, DFT PBE with a Hubbard U
# Energy in eV/atom: -4.33
# Calculated formation energy in eV per atom: -0.286
data_CoSeClO6
_cell_length_a 6.765
_cell_length_b 7.067
_cell_length_c 7.494
_cell_angle_alpha 63.92
_cell_angle_beta 67.05
_cell_angle_gamma 70.45
_space_group_name_H-M_alt 'P -1'
_space_group_IT_number 2
_space_group_name_Hall '-P 1'
loop_
_atom_site_label
_atom_site_fract_x
_atom_site_fract_y
_atom_site_fract_z
Co1 0.000 0.000 0.000
Co2 0.500 0.500 0.500
Se1 0.213 0.203 0.513
Cl1 0.129 0.644 0.116
O1 0.119 0.988 0.727
O2 0.224 0.612 0.601
O3 0.240 0.046 0.993
O4 0.328 0.097 0.328
O5 0.426 0.222 0.584
O6 0.488 0.441 0.758

---

# MgFe2Ag2O4, optimized geometry, DFT PBE with a Hubbard U
# Energy in eV/atom: -5.38
# Polymorph energy (0 for the lowest one) in meV per atom: 0
# Calculated formation energy in eV per atom: -1.294
data_MgFe2Ag2O4
_cell_length_a 5.360
_cell_length_b 3.132
_cell_length_c 14.329
_cell_angle_alpha 90.00
_cell_angle_beta 94.95
_cell_angle_gamma 90.00
_space_group_name_H-M_alt 'C 1 m 1'
_space_group_IT_number 8
_space_group_name_Hall 'C -2y'
loop_
_atom_site_label
_atom_site_fract_x
_atom_site_fract_y
_atom_site_fract_z
Mg1 0.000 0.000 0.000
Fe1 0.207 0.000 0.394
Fe2 0.288 0.000 0.823
Ag1 0.419 0.500 0.613
Ag2 0.429 0.000 0.169
O1 0.025 0.500 0.323
O2 0.150 0.500 0.937
O3 0.389 0.500 0.466
O4 0.441 0.500 0.762

---

# SrNdVO4, optimized geometry, DFT PBE with a Hubbard U
# Energy in eV/atom: -7.58
# Calculated formation energy in eV per atom: -3.163
data_SrNdVO4
_cell_length_a 3.910
_cell_length_b 3.910
_cell_length_c 12.628
_cell_angle_alpha 90.00
_cell_angle_beta 90.00
_cell_angle_gamma 90.00
_space_group_name_H-M_alt 'I 4 m m'
_space_group_IT_number 107
_space_group_name_Hall 'I 4 -2'
loop_
_atom_site_label
_atom_site_fract_x
_atom_site_fract_y
_atom_site_fract_z
Sr1 0.000 0.000 0.000
Nd1 0.000 0.000 0.712
V1 0.000 0.000 0.357
O1 0.000 0.000 0.188
O2 0.000 0.000 0.530
O3 0.000 0.500 0.345